{
  "formula": "Tm3AlNi8",
  "functional": "PBE",
  "state": "optimized geometry",
  "crystal_system": "hexagonal",
  "space_group": "P6_3/mmc, No. 194",
  "final_energy_ev_per_cell": -138.5,
  "de_polymorph_mev_per_atom": 19,
  "e_form_kj_per_mol_atoms": -47,
  "lattice": [[-2.770, 1.361, 3.965], [-2.244, -1.373, -4.281], [-0.279, -15.112, 4.993]],
  "species": ["Ni", "Tm", "Ni", "Ni", "Ni", "Ni", "Tm", "Ni", "Ni", "Ni", "Ni", "Tm", "Tm", "Al", "Ni", "Al", "Ni", "Ni", "Tm", "Tm", "Ni", "Ni", "Ni", "Ni"],
  "frac_coords": [[0.169, 0.831, 0.125], [0.667, 0.333, 0.250], [0.333, 0.667, 0.250], [0.169, 0.338, 0.375], [0.831, 0.169, 0.625], [0.000, 0.000, 0.750], [0.667, 0.333, 0.456], [0.000, 0.000, 0.250], [0.667, 0.333, 0.750], [0.662, 0.831, 0.125], [0.338, 0.169, 0.625], [0.667, 0.333, 0.044], [0.333, 0.667, 0.544], [0.000, 0.000, 0.500], [0.831, 0.662, 0.875], [0.000, 0.000, 0.000], [0.338, 0.169, 0.875], [0.169, 0.831, 0.375], [0.333, 0.667, 0.750], [0.333, 0.667, 0.956], [0.831, 0.662, 0.625], [0.662, 0.831, 0.375], [0.169, 0.338, 0.125], [0.831, 0.169, 0.875]]
}

{
  "formula": "LiSmS2",
  "functional": "PBE",
  "state": "optimized geometry",
  "crystal_system": "trigonal",
  "space_group": "R-3m, No. 166",
  "final_energy_ev_per_cell": -22.1,
  "e_form_kj_per_mol_atoms": -198,
  "lattice": [[-2.841, 5.680, 1.897], [-1.633, 3.770, 5.200], [1.004, 5.824, 2.999]],
  "species": ["S", "Sm", "S", "Li"],
  "frac_coords": [[0.748, 0.748, 0.748], [0.500, 0.500, 0.500], [0.252, 0.252, 0.252], [0.000, 0.000, 0.000]]
}